Run i
Li4MnFe3B4O12 (PBE+U, optimized geometry); SG = P1 (1)
1.0
5.2268 0.0000 0.0000
2.5947 4.5380 0.0000
0.6468 -0.0074 20.7858
Li Mn Fe B O
8 2 6 8 24
Direct
0.0000 0.0000 0.0000
0.0000 0.0039 0.5028
0.6683 0.0368 0.8762
0.6717 0.0107 0.1259
0.6743 0.0363 0.3783
0.6814 0.0058 0.6277
0.9836 0.0399 0.7519
0.9849 0.0455 0.2524
0.3300 0.6846 0.1420
0.6583 0.6966 0.2684
0.3203 0.3415 0.0165
0.3256 0.3421 0.5197
0.3301 0.6864 0.6427
0.6477 0.6938 0.7675
0.9950 0.3582 0.8915
0.9987 0.3626 0.3953
0.0019 0.3547 0.6476
0.3272 0.3553 0.7719
0.3291 0.3621 0.2737
0.3376 0.6869 0.8966
0.3402 0.6854 0.3996
0.6602 0.6836 0.0201
0.6595 0.6860 0.5232
0.9931 0.3557 0.1460
0.0670 0.9422 0.9034
0.0703 0.3439 0.7867
0.0716 0.9411 0.4069
0.0779 0.3402 0.2892
0.2581 0.3332 0.1243
0.2673 0.3384 0.6276
0.2981 0.6302 0.2522
0.3064 0.6224 0.7529
0.3604 0.4141 0.9105
0.3637 0.4120 0.4139
0.3902 0.6997 0.5380
0.3924 0.6948 0.0353
0.5866 0.7041 0.8766
0.5904 0.6996 0.3787
0.6009 0.1036 0.7771
0.6050 0.1170 0.2806
0.6821 0.9388 0.5286
0.6825 0.9362 0.0261
0.7515 0.6330 0.1615
0.7531 0.6265 0.6615
0.9050 0.4179 0.0010
0.9053 0.4204 0.5046
0.9669 0.1067 0.1541
0.9867 0.0982 0.6547



Run ii
Li4MnFe3B4O12 (PBE+U, optimized geometry); SG = P1 (1)
1.0
5.2256 0.0000 0.0000
2.5871 4.5433 0.0000
0.7583 -0.0289 20.8472
Li Mn Fe B O
8 2 6 8 24
Direct
0.0000 0.0000 0.0000
0.0033 0.0082 0.5005
0.0128 0.9772 0.7491
0.0259 0.9741 0.2528
0.3152 0.0079 0.3760
0.3234 0.9757 0.6249
0.3280 0.0171 0.8735
0.3418 0.9761 0.1253
0.0096 0.6494 0.1085
0.3419 0.3247 0.7341
0.0001 0.6453 0.6065
0.3619 0.3098 0.2331
0.6630 0.3363 0.3590
0.6680 0.6660 0.9832
0.6741 0.3324 0.8581
0.6762 0.6724 0.4819
0.0014 0.6717 0.8557
0.0037 0.6582 0.3552
0.3407 0.3195 0.9794
0.3441 0.3274 0.4799
0.6607 0.3261 0.6031
0.6724 0.6591 0.7298
0.6752 0.3227 0.1050
0.6845 0.6538 0.2316
0.0180 0.9144 0.3479
0.0198 0.9265 0.8483
0.0961 0.5827 0.9994
0.0992 0.5925 0.4981
0.2509 0.4008 0.8416
0.2515 0.3845 0.3411
0.3172 0.0686 0.9726
0.3215 0.0751 0.4744
0.3972 0.9029 0.7236
0.4093 0.3149 0.6243
0.4115 0.9041 0.2255
0.4310 0.3006 0.1269
0.6116 0.3056 0.9650
0.6155 0.3116 0.4653
0.6376 0.6006 0.5886
0.6397 0.6004 0.0897
0.7035 0.3886 0.2510
0.7027 0.3894 0.7500
0.7366 0.6854 0.8751
0.7385 0.6724 0.3755
0.9235 0.6816 0.7143
0.9288 0.0713 0.5960
0.9408 0.6672 0.2162
0.9486 0.0746 0.0973



Stability summary - winner: run i; margin: 13 meV per atom.



Run i
LiFe2B2O6 (PBE+U, optimized geometry); SG = P1 (1)
1.0
5.2799 0.0000 0.0000
0.0291 9.0702 0.0000
2.4908 4.5197 10.1752
Li Fe B O
4 8 8 24
Direct
0.0000 0.0000 0.0000
0.0704 0.3703 0.2436
0.7391 0.7450 0.5007
0.8098 0.1359 0.7510
0.0423 0.0141 0.2808
0.2362 0.5739 0.5307
0.2945 0.9458 0.7782
0.4845 0.1557 0.0369
0.5437 0.5384 0.2774
0.7295 0.0735 0.5292
0.7864 0.4553 0.7768
0.9853 0.6476 0.0270
0.0257 0.6825 0.2854
0.2455 0.9070 0.5274
0.2710 0.2778 0.7853
0.4835 0.8270 0.0358
0.5409 0.2063 0.2788
0.7294 0.4054 0.5343
0.7954 0.7870 0.7740
0.9877 0.3092 0.0313
0.0011 0.9339 0.4929
0.0049 0.7733 0.8294
0.0787 0.4259 0.0585
0.1015 0.1600 0.0622
0.1412 0.1381 0.8010
0.1619 0.4235 0.7410
0.2501 0.8387 0.9978
0.2578 0.6528 0.3248
0.3559 0.0187 0.5634
0.3739 0.7793 0.5233
0.4164 0.3394 0.2780
0.4391 0.1068 0.2287
0.5161 0.2730 0.8189
0.5304 0.4511 0.4715
0.5900 0.6813 0.0841
0.6218 0.9673 0.0216
0.6851 0.6593 0.7609
0.6936 0.9390 0.7289
0.7701 0.1709 0.3261
0.7709 0.3233 0.9747
0.8278 0.2580 0.5583
0.8281 0.5136 0.5783
0.8938 0.8079 0.2956
0.9269 0.5721 0.2440



Run ii
LiFe2B2O6 (PBE+U, optimized geometry); SG = P1 (1)
1.0
5.2760 0.0000 0.0000
-0.0647 9.0475 0.0000
-0.1878 -0.0204 10.1725
Li Fe B O
4 8 8 24
Direct
0.0000 0.0000 0.0000
0.0375 0.0112 0.4916
0.5318 0.5140 0.5050
0.6802 0.3507 0.7832
0.0254 0.3440 0.0297
0.0333 0.6840 0.5373
0.1658 0.5191 0.2840
0.1751 0.1708 0.7751
0.4930 0.8304 0.0303
0.5306 0.1814 0.5313
0.6641 0.0144 0.2796
0.6698 0.6896 0.7812
0.0183 0.3437 0.5328
0.1743 0.5134 0.7833
0.1757 0.1829 0.2815
0.5211 0.8483 0.5313
0.5249 0.1754 0.0316
0.6734 0.0160 0.7883
0.6756 0.6818 0.2899
0.9926 0.6803 0.0311
0.0115 0.0685 0.3014
0.0177 0.6249 0.7391
0.0588 0.3843 0.8330
0.0881 0.3160 0.2277
0.0964 0.5488 0.0843
0.1256 0.8080 0.0381
0.1422 0.2127 0.5645
0.1613 0.4641 0.4856
0.2624 0.1756 0.0063
0.2655 0.8554 0.5290
0.4281 0.1707 0.3195
0.4336 0.5210 0.7735
0.5128 0.5660 0.3122
0.5366 0.8858 0.8153
0.5485 0.1411 0.7410
0.5911 0.8114 0.2344
0.6351 0.0454 0.0798
0.6482 0.7219 0.5782
0.6686 0.9673 0.4844
0.6754 0.2951 0.0041
0.7509 0.6725 0.9744
0.7620 0.3570 0.5509
0.9266 0.0184 0.8129
0.9280 0.6690 0.3292



Run iii
LiFe2B2O6 (PBE+U, optimized geometry); SG = P1 (1)
1.0
5.3162 0.0000 0.0000
-0.1179 9.0583 0.0000
-2.3220 -4.4355 10.0698
Li Fe B O
4 8 8 24
Direct
0.0000 0.0000 0.0000
0.0523 0.3652 0.7415
0.5549 0.8592 0.7333
0.8073 0.1146 0.2508
0.0141 0.3398 0.0176
0.0678 0.7178 0.7653
0.2555 0.9177 0.5128
0.3190 0.2930 0.2708
0.5098 0.8290 0.0234
0.5567 0.2219 0.7705
0.7544 0.4202 0.5148
0.8048 0.7825 0.2784
0.0074 0.6751 0.0176
0.0620 0.0504 0.7761
0.2696 0.5883 0.5232
0.3012 0.9617 0.2686
0.5194 0.1642 0.0172
0.5576 0.5487 0.7704
0.7656 0.0874 0.5269
0.8145 0.4490 0.2680
0.0253 0.4072 0.2083
0.0393 0.5816 0.5616
0.0973 0.5303 0.9975
0.1335 0.7872 0.9848
0.1638 0.0818 0.2523
0.2092 0.8601 0.3194
0.2769 0.1906 0.0451
0.2891 0.0237 0.7311
0.3824 0.7342 0.5407
0.3909 0.4488 0.4772
0.4165 0.4220 0.7682
0.4768 0.7061 0.8185
0.5353 0.0834 0.5656
0.5376 0.9354 0.2281
0.6420 0.0355 0.0324
0.6447 0.2639 0.9769
0.6982 0.5816 0.2814
0.7241 0.3360 0.3140
0.7868 0.5298 0.7243
0.7901 0.7192 0.0677
0.8708 0.2291 0.5310
0.8914 0.9493 0.4889
0.9302 0.9305 0.7936
0.9709 0.2029 0.8096



Stability summary - winner: run ii; margin: 7 meV per atom.